(1)
! LiVOF3 PBE+U optimized geometry; values from VASP
&SYSTEM
  ibrav = 0, nat = 24, ntyp = 4
/
ATOMIC_SPECIES
Li 6.94 Li.upf
V 50.94 V.upf
O 16.00 O.upf
F 19.00 F.upf
ATOMIC_POSITIONS crystal
Li 0.000 0.000 0.000
Li 0.537 0.463 0.500
Li 0.570 0.036 0.273
Li 0.964 0.430 0.727
V 0.016 0.984 0.500
V 0.386 0.614 0.000
V 0.418 0.073 0.765
V 0.927 0.582 0.235
O 0.099 0.529 0.031
O 0.291 0.167 0.548
O 0.471 0.901 0.969
O 0.833 0.709 0.452
F 0.058 0.485 0.450
F 0.117 0.850 0.752
F 0.150 0.883 0.248
F 0.312 0.223 0.970
F 0.417 0.563 0.729
F 0.437 0.583 0.271
F 0.515 0.942 0.550
F 0.665 0.326 0.739
F 0.674 0.335 0.261
F 0.777 0.688 0.030
F 0.896 0.078 0.273
F 0.922 0.104 0.727
CELL_PARAMETERS angstrom
3.764 -5.758 0.000
3.764 5.758 0.000
-0.102 0.000 6.391
! Energy of formation (meV per atom): -2891
! Energy with MP2020 corrections (eV/atom): -6.50
! V (Å³/atom): 11.5
! Energy above the lowest structure with this stoichiometry (meV per atom): 87

---

(2)
! Li3V2O4F2 PBE+U optimized geometry; values from VASP
&SYSTEM
  ibrav = 0, nat = 44, ntyp = 4
/
ATOMIC_SPECIES
Li 6.94 Li.upf
V 50.94 V.upf
O 16.00 O.upf
F 19.00 F.upf
ATOMIC_POSITIONS crystal
Li 0.000 0.000 0.000
Li 0.166 0.697 0.366
Li 0.167 0.167 0.371
Li 0.311 0.833 0.617
Li 0.336 0.336 0.636
Li 0.505 0.984 0.996
Li 0.510 0.510 0.488
Li 0.547 0.973 0.497
Li 0.697 0.166 0.366
Li 0.833 0.311 0.617
Li 0.973 0.547 0.497
Li 0.984 0.505 0.996
V 0.169 0.169 0.828
V 0.171 0.668 0.836
V 0.332 0.838 0.164
V 0.340 0.340 0.155
V 0.667 0.667 0.827
V 0.668 0.171 0.836
V 0.833 0.833 0.170
V 0.838 0.332 0.164
O 0.000 0.000 0.237
O 0.003 0.504 0.766
O 0.007 0.503 0.226
O 0.010 0.010 0.767
O 0.151 0.688 0.091
O 0.164 0.164 0.086
O 0.326 0.326 0.904
O 0.338 0.846 0.903
O 0.503 0.007 0.226
O 0.504 0.003 0.766
O 0.506 0.506 0.225
O 0.512 0.512 0.765
O 0.676 0.676 0.091
O 0.688 0.151 0.091
O 0.829 0.829 0.908
O 0.846 0.338 0.903
F 0.173 0.173 0.591
F 0.187 0.636 0.572
F 0.344 0.344 0.406
F 0.346 0.841 0.417
F 0.636 0.187 0.572
F 0.656 0.656 0.573
F 0.837 0.837 0.412
F 0.841 0.346 0.417
CELL_PARAMETERS angstrom
5.172 -2.999 0.000
5.172 2.999 0.000
-0.028 0.000 14.941
! Energy of formation (meV per atom): -2656
! Energy with MP2020 corrections (eV/atom): -6.98
! V (Å³/atom): 10.5
! Energy above the lowest structure with this stoichiometry (meV per atom): 44

---

(3)
! LiVOF3 PBE+U optimized geometry; values from VASP
&SYSTEM
  ibrav = 0, nat = 24, ntyp = 4
/
ATOMIC_SPECIES
Li 6.94 Li.upf
V 50.94 V.upf
O 16.00 O.upf
F 19.00 F.upf
ATOMIC_POSITIONS crystal
Li 0.049 0.246 0.057
Li 0.049 0.254 0.557
Li 0.951 0.746 0.443
Li 0.951 0.754 0.943
V 0.346 0.220 0.319
V 0.346 0.280 0.819
V 0.654 0.720 0.181
V 0.654 0.780 0.681
O 0.436 0.057 0.698
O 0.436 0.443 0.198
O 0.564 0.557 0.802
O 0.564 0.943 0.302
F 0.044 0.565 0.304
F 0.044 0.935 0.804
F 0.184 0.091 0.431
F 0.184 0.409 0.931
F 0.328 0.584 0.568
F 0.328 0.916 0.068
F 0.672 0.084 0.932
F 0.672 0.416 0.432
F 0.816 0.591 0.069
F 0.816 0.909 0.569
F 0.956 0.065 0.196
F 0.956 0.435 0.696
CELL_PARAMETERS angstrom
4.508 0.000 0.000
0.000 4.796 0.000
-4.407 0.000 11.840
! Energy of formation (meV per atom): -2965
! Energy with MP2020 corrections (eV/atom): -6.58
! V (Å³/atom): 10.7
! Energy above the lowest structure with this stoichiometry (meV per atom): 13